VASP calculation (r²SCAN) on a relaxed EuY2O4 crystal.

Results
spin magnetization	14.0	μB per cell
formation enthalpy at 0 K	-3638	meV/atom
symmetry	No. 227
E_tot	-18.358	eV per atom
crystal system	cubic

Structure (POSCAR):
```
EuY2O4
1.0
0.935 -6.806 -0.431
-1.008 -3.970 5.532
-5.416 -4.241 0.252
O Eu Y
8 2 4
Cartesian
-2.539 -7.630 5.040
-1.444 -9.228 1.679
-4.890 -13.378 4.769
-4.322 -11.141 1.651
-5.023 -7.782 2.064
-1.971 -5.392 1.922
-1.837 -10.988 4.627
-5.417 -9.542 5.012
-4.116 -11.262 4.014
-2.744 -7.508 2.676
-0.218 -5.280 0.453
-0.686 -1.877 0.669
-3.394 -3.997 0.795
-1.190 -3.862 3.435
```